1.
The following is a DFT calculation (GGA-PBE) of a relaxed RbHfF5 crystal.

Computed properties:
Space-group type   Cmce
ΔE_f   -3.894 eV/atom
Uncorrected energy   -6.49 eV/atom

Geometry as extended XYZ:
```
28
Lattice="-2.9930 6.0613 4.0343 -4.5534 -3.6935 -5.2534 -2.4967 -5.0246 5.6967" Properties=species:S:1:pos:R:3 pbc="T T T"
F -7.7036 -3.0251 4.4715
F -6.6808 -0.5805 -1.0888
F -2.6651 0.6089 2.6292
Hf -6.6424 -1.7546 2.9588
Hf -6.7293 1.1766 -0.1053
F -4.4176 -2.8447 -4.4452
F -1.1863 -1.3110 1.5762
Rb -4.5611 1.5502 4.9796
F -3.1288 5.2125 3.2262
F -6.2361 2.1997 1.5582
Rb -4.0929 -0.8149 -2.5126
F -4.7607 0.2729 0.5132
F -8.8569 -1.3459 2.9015
F -6.9334 -0.4855 4.4956
F -7.0467 -0.3273 1.5276
F -2.3396 0.3683 0.0062
Hf -3.4008 -0.9022 1.5189
F -3.8071 -4.8565 2.9195
F -2.9965 -2.3296 2.9501
F -4.8858 -0.4796 3.0470
Rb -3.4535 3.1827 1.2936
F -3.1098 -2.1713 -0.0179
Rb -5.4820 -4.2070 -0.5019
Hf -3.3139 -3.8335 4.5830
F -5.1573 -2.1772 1.4307
F -7.3781 -3.2657 1.8485
F -3.3624 -2.0763 5.5665
F -5.2824 -2.9297 3.9645
```

---

2.
The following is a DFT calculation (GGA-PBE) of a relaxed SmHfF7 crystal.

Computed properties:
Space-group type   P2_1
ΔE_f   -4.311 eV/atom
Uncorrected energy   -7.07 eV/atom

Geometry as extended XYZ:
```
18
Lattice="0.0000 -5.7751 0.0000 -6.0598 0.0000 1.3322 -0.0962 0.0000 -8.3773" Properties=species:S:1:pos:R:3 pbc="T T T"
F -0.2151 -2.5862 -1.9622
Sm -2.1065 -1.1469 -2.1640
F -5.7190 -2.4398 -5.2036
F -5.2521 -4.1160 -2.7814
F -0.9039 -1.2285 -4.2637
F -2.3516 -2.8666 -6.0611
F -3.3840 -2.2285 -3.6646
F -0.4370 -5.3273 -1.8415
F -3.3541 -2.8804 -1.0544
Hf -1.2185 -1.2036 -6.2496
F -3.8044 -5.7542 -0.9840
Hf -4.9374 -4.0911 -0.7955
F -2.8019 -5.7679 -5.9908
F -2.7720 -5.1161 -3.3805
F -1.4763 -1.1856 0.1606
Sm -4.0495 -4.0345 -4.8811
F -5.9409 -5.4737 -5.0829
F -4.6797 -4.0731 -7.2058
```

---

3.
The following is a DFT calculation (GGA-PBE) of a relaxed TbHfF7 crystal.

Computed properties:
Space-group type   P2_1
ΔE_f   -4.322 eV/atom
Uncorrected energy   -7.07 eV/atom

Geometry as extended XYZ:
```
18
Lattice="-2.3145 4.3036 -2.9266 3.9510 -0.9758 -4.5596 -6.3255 -4.8778 -2.1704" Properties=species:S:1:pos:R:3 pbc="T T T"
F -4.8270 -2.4733 -7.6287
F -2.4031 0.7140 -1.9923
Tb -1.0885 -1.0172 -2.8256
F -3.1926 -0.5780 -8.8107
F -2.1825 -2.8270 -7.1453
Tb -3.3580 -0.9837 -6.5242
Hf 0.1499 1.1606 -6.2554
F -0.3398 0.5648 -4.4048
F -2.0433 -1.4196 -4.7678
F 0.3489 0.5312 -1.7611
F -3.2825 1.0535 -5.6938
F -3.2829 -1.8043 -2.4048
Hf -4.6424 -3.0760 -3.1526
F -4.6162 -2.0344 -4.8816
F -3.3177 2.7855 -3.5370
F -1.2292 -0.0746 -7.0280
F -5.4903 0.0070 -6.6945
F -1.2292 2.6346 -6.2372
```

---

4.
The following is a DFT calculation (GGA-PBE) of a relaxed HfTiF6 crystal.

Computed properties:
Space-group type   Fm-3m
ΔE_f   -3.621 eV/atom
Uncorrected energy   -6.94 eV/atom

Geometry as extended XYZ:
```
8
Lattice="2.8587 -4.6964 0.2171 -1.9795 -4.2985 2.8073 -1.8061 -4.4470 -2.6903" Properties=species:S:1:pos:R:3 pbc="T T T"
Hf -0.4634 -6.7210 0.1670
F -1.1396 -5.5759 -1.2719
F -2.1364 -7.7405 0.1418
F 0.2127 -7.8661 1.6060
Ti 0.0000 0.0000 0.0000
F -1.2269 -5.5010 1.4966
F 0.3001 -7.9409 -1.1626
F 1.2096 -5.7014 0.1922
```